{"formula": "LaMnO3", "functional": "GGA+U", "state": "relaxed", "cell": [[4.8600, -0.0123, 2.7089], [1.5857, 4.5941, 2.7089], [-0.0173, -0.0123, 5.5639]], "species": ["Mn", "O", "O", "O", "O", "La", "O", "O", "Mn", "La"], "frac_coords": [[0.5000, 0.5000, 0.5000], [0.7500, 0.1764, 0.3236], [0.6764, 0.2500, 0.8236], [0.8236, 0.6764, 0.2500], [0.2500, 0.8236, 0.6764], [0.7500, 0.7500, 0.7500], [0.1764, 0.3236, 0.7500], [0.3236, 0.7500, 0.1764], [0.0000, 0.0000, 0.0000], [0.2500, 0.2500, 0.2500]], "spacegroup": "R-3c (167)", "ef_ev_per_atom": -2.995}

=====

{"formula": "LaMnO3", "functional": "GGA+U", "state": "relaxed", "cell": [[-2.2017, 4.2280, 2.8439], [-2.6610, -3.7026, 3.4440], [6.2356, 0.0038, 4.8219]], "species": ["La", "O", "La", "Mn", "O", "O", "Mn", "O", "O", "O", "O", "O", "Mn", "La", "O", "O", "O", "O", "La", "Mn"], "frac_coords": [[0.5000, 0.0000, 0.7500], [0.7953, 0.3205, 0.5000], [0.0000, 0.5000, 0.7500], [0.0000, 0.0000, 0.5000], [0.7047, 0.8204, 0.0000], [0.2953, 0.1796, 0.0000], [0.5000, 0.5000, 0.5000], [0.0000, 0.0000, 0.2500], [0.2046, 0.6796, 0.0000], [0.7046, 0.8204, 0.5000], [0.0000, 0.0000, 0.7500], [0.7954, 0.3204, 0.0000], [0.5000, 0.5000, 0.0000], [0.0000, 0.5000, 0.2500], [0.2047, 0.6795, 0.5000], [0.5000, 0.5000, 0.7499], [0.5000, 0.5000, 0.2501], [0.2955, 0.1796, 0.5000], [0.5000, 0.0000, 0.2500], [0.0000, 0.0000, 0.0000]], "ef_ev_per_atom": -2.960}

=====

{"formula": "LaMnO3", "functional": "GGA+U", "state": "relaxed", "cell": [[-2.8196, -1.6124, 4.4289], [1.8444, -5.2389, -0.7286], [6.4054, 1.6067, 4.6628]], "species": ["O", "O", "O", "O", "Mn", "O", "La", "La", "Mn", "La", "Mn", "O", "O", "La", "O", "O", "Mn", "O", "O", "O"], "frac_coords": [[0.5000, 0.5000, 0.7643], [0.1881, 0.6898, 0.0000], [0.5000, 0.5000, 0.2357], [0.3119, 0.1901, 0.5000], [0.0001, 0.0000, 0.0000], [0.0000, 0.0000, 0.2643], [0.0000, 0.5000, 0.7494], [0.5000, 0.0000, 0.2494], [0.4999, 0.5001, 0.5000], [0.0000, 0.5000, 0.2506], [0.0000, 0.0000, 0.5000], [0.7981, 0.3272, 0.5000], [0.0000, 0.0000, 0.7357], [0.5000, 0.0000, 0.7506], [0.2019, 0.6728, 0.5000], [0.6881, 0.8099, 0.5000], [0.5000, 0.5000, 0.0000], [0.7021, 0.8272, 0.0000], [0.8119, 0.3102, 0.0000], [0.2979, 0.1728, 0.0000]], "spacegroup": "Pnnm (58)", "ef_ev_per_atom": -2.962}

=====

{"formula": "La8Mn7O24", "functional": "GGA+U", "state": "relaxed", "cell": [[-3.4275, -5.5390, 4.4476], [8.8684, -2.1745, -2.5068], [5.0012, 10.1141, 9.5779]], "species": ["O", "O", "O", "Mn", "O", "La", "La", "Mn", "O", "O", "O", "O", "Mn", "O", "Mn", "La", "O", "O", "Mn", "O", "O", "La", "O", "La", "O", "La", "Mn", "La", "O", "O", "Mn", "Mn", "O", "Mn", "O", "La", "O", "O", "O", "O", "O", "O", "O", "La", "La", "La", "O", "O", "La", "O", "Mn", "La", "La", "O", "O", "O", "O", "Mn", "O", "O", "O", "La", "Mn", "O", "La", "O", "O", "O", "Mn", "O", "O", "O", "O", "O", "O", "Mn", "O", "O"], "frac_coords": [[0.8832, 0.3664, 0.3990], [0.4857, 0.8251, 0.5803], [0.3821, 0.8642, 0.8985], [0.2512, 0.2509, 0.7526], [0.0260, 0.6876, 0.9172], [0.3012, 0.9416, 0.6812], [0.1811, 0.0645, 0.3181], [0.3750, 0.6234, 0.6270], [0.6179, 0.1358, 0.1015], [0.3660, 0.3854, 0.3471], [0.2492, 0.0846, 0.8334], [0.3809, 0.2936, 0.0480], [0.1278, 0.8821, 0.8749], [0.7395, 0.4871, 0.0221], [0.5000, 0.5000, 0.0000], [0.2981, 0.4387, 0.1822], [0.7025, 0.4732, 0.5076], [0.1361, 0.5447, 0.2933], [0.1291, 0.3821, 0.3748], [0.9740, 0.3124, 0.0828], [0.3677, 0.9557, 0.2094], [0.9436, 0.7910, 0.0577], [0.6191, 0.7064, 0.9520], [0.6988, 0.0584, 0.3188], [0.5788, 0.5994, 0.1339], [0.0559, 0.7084, 0.4434], [0.7488, 0.7491, 0.2474], [0.1833, 0.5660, 0.8196], [0.2975, 0.5268, 0.4924], [0.6340, 0.6146, 0.6529], [0.8709, 0.6179, 0.6252], [0.5000, 0.0000, 0.5000], [0.1304, 0.1106, 0.1518], [0.6250, 0.3766, 0.3730], [0.0991, 0.1078, 0.6442], [0.4228, 0.3021, 0.5578], [0.5143, 0.1749, 0.4197], [0.7227, 0.9995, 0.4759], [0.3236, 0.8499, 0.3833], [0.7508, 0.9154, 0.1666], [0.7389, 0.5842, 0.3310], [0.5102, 0.7449, 0.2780], [0.5447, 0.2788, 0.2402], [0.7019, 0.5613, 0.8178], [0.8167, 0.4340, 0.1804], [0.9441, 0.2916, 0.5566], [0.8885, 0.7845, 0.5545], [0.6323, 0.0443, 0.7906], [0.0564, 0.2090, 0.9423], [0.1749, 0.6546, 0.1288], [0.3744, 0.1238, 0.1271], [0.5772, 0.6979, 0.4422], [0.5781, 0.1999, 0.9405], [0.1168, 0.6336, 0.6010], [0.2605, 0.5129, 0.9779], [0.6764, 0.1501, 0.6167], [0.8639, 0.4553, 0.7067], [0.2531, 0.7531, 0.2525], [0.8696, 0.8894, 0.8482], [0.2611, 0.4158, 0.6690], [0.0111, 0.2450, 0.7771], [0.4219, 0.8001, 0.0595], [0.7469, 0.2469, 0.7475], [0.9009, 0.8922, 0.3558], [0.8189, 0.9355, 0.6819], [0.4898, 0.2551, 0.7220], [0.9607, 0.2223, 0.2583], [0.7864, 0.0291, 0.9885], [0.8722, 0.1179, 0.1251], [0.8251, 0.3454, 0.8712], [0.2773, 0.0005, 0.5241], [0.2136, 0.9709, 0.0115], [0.9889, 0.7550, 0.2229], [0.4553, 0.7212, 0.7598], [0.0393, 0.7777, 0.7417], [0.6256, 0.8762, 0.8729], [0.1115, 0.2155, 0.4455], [0.4212, 0.4006, 0.8661]], "spacegroup": "P-1 (2)", "ef_ev_per_atom": -2.984}

=====

{"formula": "La7Mn8O24", "functional": "GGA+U", "state": "relaxed", "cell": [[7.8504, 0.0000, 0.0000], [-3.8047, 8.7217, 0.0000], [-3.8893, -1.8540, 14.0322]], "species": ["O", "Mn", "O", "Mn", "O", "O", "Mn", "O", "O", "O", "Mn", "Mn", "Mn", "La", "O", "O", "Mn", "O", "Mn", "La", "O", "O", "O", "O", "O", "O", "Mn", "O", "O", "O", "O", "La", "O", "O", "La", "La", "O", "O", "O", "O", "O", "La", "O", "O", "O", "O", "Mn", "Mn", "O", "Mn", "O", "O", "La", "La", "O", "O", "La", "Mn", "O", "O", "O", "La", "O", "O", "La", "Mn", "O", "O", "O", "La", "Mn", "La", "O", "Mn", "O", "La", "O", "O"], "frac_coords": [[0.6842, 0.0759, 0.7948], [0.1873, 0.3106, 0.0648], [0.5709, 0.6831, 0.9597], [0.8127, 0.6894, 0.9352], [0.9706, 0.8339, 0.0548], [0.3033, 0.9289, 0.6912], [0.3102, 0.1878, 0.4359], [0.9038, 0.2873, 0.5732], [0.0715, 0.1795, 0.4624], [0.5742, 0.1061, 0.1067], [0.8155, 0.1895, 0.4365], [0.6901, 0.3121, 0.0651], [0.5665, 0.4406, 0.6882], [0.5003, 0.2491, 0.2514], [0.4291, 0.3169, 0.0403], [0.7957, 0.9275, 0.1636], [0.9368, 0.0594, 0.8124], [0.2043, 0.0725, 0.8364], [0.3099, 0.6879, 0.9349], [0.6205, 0.1237, 0.6263], [0.6967, 0.0711, 0.3088], [0.3535, 0.4611, 0.1793], [0.4556, 0.2369, 0.7385], [0.8211, 0.8686, 0.8679], [0.8078, 0.4122, 0.7062], [0.3982, 0.7877, 0.0682], [0.6898, 0.8122, 0.5641], [0.5577, 0.1947, 0.4197], [0.9094, 0.3982, 0.3989], [0.8335, 0.9699, 0.6770], [0.7116, 0.9871, 0.4859], [0.8772, 0.3804, 0.8763], [0.6018, 0.2123, 0.9318], [0.7589, 0.4234, 0.1919], [0.3795, 0.8763, 0.3737], [0.6271, 0.6261, 0.1243], [0.0906, 0.6018, 0.6011], [0.6465, 0.5389, 0.8207], [0.2884, 0.0129, 0.5141], [0.9580, 0.7342, 0.2338], [0.1922, 0.5878, 0.2938], [0.8772, 0.8816, 0.3717], [0.6355, 0.6297, 0.6295], [0.3158, 0.9241, 0.2052], [0.4423, 0.8053, 0.5803], [0.2151, 0.4848, 0.9842], [0.9393, 0.5599, 0.3120], [0.5667, 0.9401, 0.1874], [0.9435, 0.3150, 0.0710], [0.0607, 0.4401, 0.6880], [0.3645, 0.3703, 0.3705], [0.0565, 0.6850, 0.9290], [0.7564, 0.0071, 0.0039], [0.2436, 0.9929, 0.9961], [0.4727, 0.3287, 0.5575], [0.0420, 0.2658, 0.7662], [0.2518, 0.4976, 0.4990], [0.4335, 0.5594, 0.3118], [0.4258, 0.8939, 0.8933], [0.7849, 0.5152, 0.0158], [0.5444, 0.7631, 0.2615], [0.1228, 0.1184, 0.6283], [0.1789, 0.1314, 0.1321], [0.1665, 0.0301, 0.3230], [0.7482, 0.5024, 0.5010], [0.4333, 0.0599, 0.8126], [0.0962, 0.7127, 0.4268], [0.3010, 0.4370, 0.6655], [0.2411, 0.5766, 0.8081], [0.3729, 0.3739, 0.8757], [0.0632, 0.9406, 0.1876], [0.1228, 0.6196, 0.1237], [0.9285, 0.8205, 0.5376], [0.1845, 0.8105, 0.5635], [0.5273, 0.6713, 0.4425], [0.4997, 0.7509, 0.7486], [0.6990, 0.5630, 0.3345], [0.0294, 0.1661, 0.9452]], "spacegroup": "P-1 (2)", "ef_ev_per_atom": -2.875}

=====

{"formula": "LaMnO3", "functional": "GGA+U", "state": "relaxed", "cell": [[0.0000, 0.0000, -4.0214], [-5.5974, -5.5596, 0.0000], [-5.5504, 5.5127, 0.0000]], "species": ["O", "O", "O", "Mn", "O", "Mn", "La", "La", "O", "Mn", "O", "Mn", "O", "La", "O", "La", "O", "O", "O", "O"], "frac_coords": [[0.0000, 0.7424, 0.5580], [0.0000, 0.9397, 0.2402], [0.0000, 0.0603, 0.7598], [0.0000, 0.5000, 0.0000], [0.5000, 0.5000, 0.0000], [0.0000, 0.0000, 0.0000], [0.5000, 0.7500, 0.2500], [0.5000, 0.2500, 0.7500], [0.5000, 0.5000, 0.5000], [0.0000, 0.0000, 0.5000], [0.5000, 0.0000, 0.5000], [0.0000, 0.5000, 0.5000], [0.0000, 0.4398, 0.7402], [0.5000, 0.7501, 0.7500], [0.0000, 0.2576, 0.4420], [0.5000, 0.2499, 0.2500], [0.0000, 0.5602, 0.2598], [0.0000, 0.2423, 0.0580], [0.0000, 0.7577, 0.9420], [0.5000, 0.0000, 0.0000]], "ef_ev_per_atom": -2.964}